(1)
A plane-wave DFT calculation with GGA-PBE was carried out for Mg7Si4 after structural relaxation.

Computed properties:
**Formation energy**: 0.102 eV per atom
**Space group**: P1 (1)

Lattice parameters (Å, degrees): 4.3908 6.5129 15.5588 96.86 97.87 90.53
Fractional coordinates of all 22 atoms:
Mg (0.1451, 0.7246, 0.3470)
Mg (0.5295, 0.7019, 0.1374)
Mg (0.7991, 0.5329, 0.6689)
Mg (0.7098, 0.9580, 0.4878)
Mg (0.2509, 0.7385, 0.5692)
Mg (0.2551, 0.2441, 0.5847)
Mg (0.9725, 0.9046, 0.0126)
Mg (0.5193, 0.1784, 0.1073)
Mg (0.4281, 0.6254, 0.9264)
Mg (0.8059, 0.0508, 0.7046)
Mg (0.4228, 0.1048, 0.8911)
Mg (0.6969, 0.4440, 0.4576)
Mg (0.9784, 0.4102, 0.0220)
Mg (0.6200, 0.0702, 0.3009)
Si (0.8867, 0.4008, 0.8423)
Si (0.0650, 0.3802, 0.2026)
Si (0.6144, 0.4953, 0.2833)
Si (0.1732, 0.1306, 0.4145)
Si (0.8851, 0.7916, 0.8378)
Si (0.0629, 0.9927, 0.1885)
Si (0.3404, 0.7564, 0.7521)
Si (0.3387, 0.3638, 0.7576)

=====

(2)
A plane-wave DFT calculation with GGA-PBE was carried out for ScInNi4 after structural relaxation.

Computed properties:
**Formation energy**: -0.409 eV per atom
**Space group**: F-43m (216)

Lattice parameters (Å, degrees): 4.8828 4.8828 4.8828 60.00 60.00 60.00
Fractional coordinates of all 6 atoms:
Sc (0.2500, 0.2500, 0.2500)
Ni (0.6253, 0.6253, 0.1241)
Ni (0.1241, 0.6253, 0.6253)
Ni (0.6253, 0.6253, 0.6253)
Ni (0.6253, 0.1241, 0.6253)
In (0.0000, 0.0000, 0.0000)

=====

(3)
A plane-wave DFT calculation with GGA-PBE was carried out for Ca2Mg after structural relaxation.

Computed properties:
**Formation energy**: 0.011 eV per atom
**Space group**: C2/c (15)

Lattice parameters (Å, degrees): 6.2685 6.2685 6.6843 67.22 67.22 63.50
Fractional coordinates of all 6 atoms:
Ca (0.4549, 0.2086, 0.7207)
Ca (0.2086, 0.4549, 0.2207)
Ca (0.5451, 0.7914, 0.2793)
Ca (0.7914, 0.5451, 0.7793)
Mg (0.9187, 0.0813, 0.2500)
Mg (0.0813, 0.9187, 0.7500)

=====

(4)
A plane-wave DFT calculation with GGA-PBE was carried out for K2NaSbCl6 after structural relaxation.

Computed properties:
**Formation energy**: -1.840 eV per atom
**Space group**: Fm-3m (225)

Lattice parameters (Å, degrees): 7.6222 7.6222 7.6222 60.00 60.00 60.00
Fractional coordinates of all 10 atoms:
K (0.7500, 0.7500, 0.7500)
K (0.2500, 0.2500, 0.2500)
Sb (0.0000, 0.0000, 0.0000)
Cl (0.2460, 0.7540, 0.2460)
Cl (0.2460, 0.2460, 0.7540)
Cl (0.7540, 0.7540, 0.2460)
Cl (0.7540, 0.2460, 0.7540)
Cl (0.2460, 0.7540, 0.7540)
Cl (0.7540, 0.2460, 0.2460)
Na (0.5000, 0.5000, 0.5000)

=====

(5)
A plane-wave DFT calculation with GGA-PBE was carried out for DyPaRu2 after structural relaxation.

Computed properties:
**Formation energy**: -0.401 eV per atom
**Space group**: Fm-3m (225)

Lattice parameters (Å, degrees): 4.8409 4.8409 4.8409 60.00 60.00 60.00
Fractional coordinates of all 4 atoms:
Ru (0.7500, 0.7500, 0.7500)
Ru (0.2500, 0.2500, 0.2500)
Pa (0.0000, 0.0000, 0.0000)
Dy (0.5000, 0.5000, 0.5000)

=====

(6)
A plane-wave DFT calculation with GGA-PBE was carried out for YAl20Cr2 after structural relaxation.

Computed properties:
**Formation energy**: -0.141 eV per atom
**Space group**: Fd-3m (227)

Lattice parameters (Å, degrees): 10.2052 10.2052 10.2052 60.00 60.00 60.00
Fractional coordinates of all 46 atoms:
Al (0.1130, 0.3870, 0.3870)
Al (0.6820, 0.9512, 0.9512)
Al (0.9512, 0.6820, 0.9512)
Al (0.2988, 0.8344, 0.5680)
Al (0.6250, 0.1250, 0.6250)
Al (0.6250, 0.6250, 0.1250)
Al (0.3870, 0.1130, 0.3870)
Al (0.2988, 0.2988, 0.5680)
Al (0.1370, 0.8630, 0.8630)
Al (0.3870, 0.1130, 0.1130)
Al (0.8344, 0.2988, 0.2988)
Al (0.9512, 0.6820, 0.4156)
Al (0.1250, 0.6250, 0.6250)
Al (0.2988, 0.2988, 0.8344)
Al (0.1370, 0.8630, 0.1370)
Al (0.1370, 0.1370, 0.8630)
Al (0.8344, 0.2988, 0.5680)
Al (0.9512, 0.4156, 0.6820)
Al (0.9512, 0.4156, 0.9512)
Al (0.2988, 0.5680, 0.8344)
Al (0.6250, 0.6250, 0.6250)
Al (0.8630, 0.1370, 0.1370)
Al (0.1130, 0.3870, 0.1130)
Al (0.9512, 0.9512, 0.6820)
Al (0.2988, 0.5680, 0.2988)
Al (0.9512, 0.9512, 0.4156)
Al (0.4156, 0.6820, 0.9512)
Al (0.8344, 0.5680, 0.2988)
Al (0.4156, 0.9512, 0.6820)
Al (0.6820, 0.4156, 0.9512)
Al (0.5680, 0.2988, 0.2988)
Al (0.8630, 0.8630, 0.1370)
Al (0.8630, 0.1370, 0.8630)
Al (0.3870, 0.3870, 0.1130)
Al (0.6820, 0.9512, 0.4156)
Al (0.5680, 0.2988, 0.8344)
Al (0.1130, 0.1130, 0.3870)
Al (0.5680, 0.8344, 0.2988)
Al (0.2988, 0.8344, 0.2988)
Al (0.4156, 0.9512, 0.9512)
Y (0.5000, 0.5000, 0.5000)
Y (0.7500, 0.7500, 0.7500)
Cr (0.1250, 0.1250, 0.6250)
Cr (0.6250, 0.1250, 0.1250)
Cr (0.1250, 0.6250, 0.1250)
Cr (0.1250, 0.1250, 0.1250)

=====

(7)
A plane-wave DFT calculation with GGA-PBE was carried out for NiRu after structural relaxation.

Computed properties:
**Formation energy**: 0.156 eV per atom
**Space group**: P-6m2 (187)

Lattice parameters (Å, degrees): 2.6525 2.6525 4.1410 90.00 90.00 120.00
Fractional coordinates of all 2 atoms:
Ru (0.3333, 0.6667, 0.0000)
Ni (0.6667, 0.3333, 0.5000)

=====

(8)
A plane-wave DFT calculation with GGA-PBE was carried out for FeNi after structural relaxation.

Computed properties:
**Formation energy**: 0.016 eV per atom
**Space group**: Cmmm (65)

Lattice parameters (Å, degrees): 2.4476 2.4476 3.9493 90.00 90.00 108.09
Fractional coordinates of all 2 atoms:
Ni (0.5000, 0.5000, 0.5000)
Fe (0.0000, 0.0000, 0.0000)